Below is an optimized crystal structure of BaNb2Xe5F22, with properties calculated at the GGA-PBE level.

**ΔH_f (0 K)**: -2.1937 eV/atom
**Crystal system**: orthorhombic

a = 10.085 Å, b = 9.519 Å, c = 9.421 Å
α = 64.34°, β = 58.30°, γ = 57.36°
Sites, in units of the cell vectors:
Ba: 0.000 0.000 0.000
Nb: 0.000 0.500 0.000
Nb: 0.500 0.000 0.500
Xe: 0.000 0.000 0.500
Xe: 0.000 0.500 0.500
Xe: 0.500 0.000 0.000
Xe: 0.500 0.500 0.000
Xe: 0.500 0.500 0.500
F: 0.045 0.293 0.955
F: 0.045 0.606 0.761
F: 0.057 0.697 0.303
F: 0.072 0.928 0.699
F: 0.239 0.412 0.955
F: 0.293 0.045 0.707
F: 0.301 0.699 0.928
F: 0.303 0.943 0.057
F: 0.354 0.646 0.354
F: 0.394 0.955 0.412
F: 0.412 0.239 0.394
F: 0.588 0.761 0.606
F: 0.606 0.045 0.588
F: 0.646 0.354 0.646
F: 0.697 0.057 0.943
F: 0.699 0.301 0.072
F: 0.707 0.955 0.293
F: 0.761 0.588 0.045
F: 0.928 0.072 0.301
F: 0.943 0.303 0.697
F: 0.955 0.394 0.239
F: 0.955 0.707 0.045